Entry 1:
Here is an optimized crystal structure of Ba2Nd2Co4O11 from the Materials Project database. Energies are from GGA+U.

Geometry as CIF:
```
data_Ba2Nd2Co4O11
_cell_length_a 8.654
_cell_length_b 8.654
_cell_length_c 8.654
_cell_angle_alpha 142.01
_cell_angle_beta 142.01
_cell_angle_gamma 54.81
_space_group_name_H-M_alt 'P 1'
_space_group_IT_number 1
loop_
_space_group_symop_operation_xyz
'x,y,z'
loop_
_atom_site_label
_atom_site_fract_x
_atom_site_fract_y
_atom_site_fract_z
Ba1 0.250 0.750 0.500
Ba2 0.750 0.250 0.500
Nd1 0.000 0.500 0.500
Nd2 0.500 0.000 0.500
Co1 0.121 0.121 0.000
Co2 0.378 0.378 0.000
Co3 0.622 0.622 0.000
Co4 0.879 0.879 0.000
O1 0.000 0.000 0.000
O2 0.160 0.160 0.528
O3 0.160 0.632 0.000
O4 0.239 0.239 0.000
O5 0.368 0.368 0.528
O6 0.368 0.840 0.000
O7 0.632 0.160 0.000
O8 0.632 0.632 0.472
O9 0.761 0.761 0.000
O10 0.840 0.368 0.000
O11 0.840 0.840 0.472
```

## Properties
Calculated formation energy ... -222.95 kJ/mol of atoms
Crystal system ... tetragonal
Distance to the lowest polymorph of the same formula ... 0 kJ/mol of formula units


Entry 2:
Here is an optimized crystal structure of Ba2Nd2Co4O11 from the Materials Project database. Energies are from GGA+U.

Geometry as CIF:
```
data_Ba2Nd2Co4O11
_cell_length_a 3.842
_cell_length_b 7.919
_cell_length_c 7.960
_cell_angle_alpha 90.00
_cell_angle_beta 90.00
_cell_angle_gamma 90.00
_space_group_name_H-M_alt 'P 1'
_space_group_IT_number 1
loop_
_space_group_symop_operation_xyz
'x,y,z'
loop_
_atom_site_label
_atom_site_fract_x
_atom_site_fract_y
_atom_site_fract_z
Ba1 0.000 0.000 0.243
Ba2 0.000 0.000 0.757
Nd1 0.000 0.500 0.267
Nd2 0.000 0.500 0.733
Co1 0.500 0.249 0.500
Co2 0.500 0.259 0.000
Co3 0.500 0.741 0.000
Co4 0.500 0.751 0.500
O1 0.000 0.268 0.500
O2 0.000 0.317 0.000
O3 0.000 0.683 0.000
O4 0.000 0.732 0.500
O5 0.500 0.000 0.000
O6 0.500 0.000 0.500
O7 0.500 0.291 0.237
O8 0.500 0.291 0.763
O9 0.500 0.500 0.500
O10 0.500 0.709 0.237
O11 0.500 0.709 0.763
```

## Properties
Calculated formation energy ... -215.32 kJ/mol of atoms
Crystal system ... orthorhombic
Distance to the lowest polymorph of the same formula ... 145 kJ/mol of formula units


Entry 3:
Here is an optimized crystal structure of Ba3Nd3Co6O16 from the Materials Project database. Energies are from GGA+U.

Geometry as CIF:
```
data_Ba3Nd3Co6O16
_cell_length_a 8.659
_cell_length_b 8.659
_cell_length_c 9.551
_cell_angle_alpha 121.75
_cell_angle_beta 121.75
_cell_angle_gamma 38.05
_space_group_name_H-M_alt 'P 1'
_space_group_IT_number 1
loop_
_space_group_symop_operation_xyz
'x,y,z'
loop_
_atom_site_label
_atom_site_fract_x
_atom_site_fract_y
_atom_site_fract_z
Ba1 0.000 0.000 0.000
Ba2 0.336 0.336 0.667
Ba3 0.664 0.664 0.333
Nd1 0.159 0.159 0.816
Nd2 0.500 0.500 0.500
Nd3 0.841 0.841 0.184
Co1 0.081 0.081 0.420
Co2 0.249 0.249 0.242
Co3 0.413 0.413 0.079
Co4 0.587 0.587 0.921
Co5 0.751 0.751 0.758
Co6 0.919 0.919 0.580
O1 0.000 0.000 0.500
O2 0.065 0.567 0.935
O3 0.104 0.581 0.394
O4 0.157 0.157 0.337
O5 0.241 0.719 0.256
O6 0.281 0.759 0.744
O7 0.419 0.896 0.606
O8 0.433 0.935 0.065
O9 0.500 0.500 0.000
O10 0.567 0.065 0.935
O11 0.581 0.104 0.394
O12 0.719 0.241 0.256
O13 0.759 0.281 0.744
O14 0.843 0.843 0.663
O15 0.896 0.419 0.606
O16 0.935 0.433 0.065
```

## Properties
Calculated formation energy ... -223.49 kJ/mol of atoms
Crystal system ... monoclinic


Entry 4:
Here is an optimized crystal structure of BaNdCo2O6 from the Materials Project database. Energies are from GGA+U.

Geometry as CIF:
```
data_BaNdCo2O6
_cell_length_a 3.808
_cell_length_b 3.964
_cell_length_c 7.928
_cell_angle_alpha 90.00
_cell_angle_beta 90.00
_cell_angle_gamma 90.00
_space_group_name_H-M_alt 'P 1'
_space_group_IT_number 1
loop_
_space_group_symop_operation_xyz
'x,y,z'
loop_
_atom_site_label
_atom_site_fract_x
_atom_site_fract_y
_atom_site_fract_z
Ba1 0.000 0.000 0.000
Nd1 0.000 0.000 0.500
Co1 0.500 0.500 0.253
Co2 0.500 0.500 0.747
O1 0.000 0.500 0.270
O2 0.000 0.500 0.730
O3 0.500 0.000 0.279
O4 0.500 0.000 0.721
O5 0.500 0.500 0.000
O6 0.500 0.500 0.500
```

## Properties
Calculated formation energy ... -210.05 kJ/mol of atoms
Crystal system ... orthorhombic
Distance to the lowest polymorph of the same formula ... 21 kJ/mol of formula units


Entry 5:
Here is an optimized crystal structure of BaNdCo2O6 from the Materials Project database. Energies are from GGA+U.

Geometry as CIF:
```
data_BaNdCo2O6
_cell_length_a 3.856
_cell_length_b 3.856
_cell_length_c 7.930
_cell_angle_alpha 90.00
_cell_angle_beta 90.00
_cell_angle_gamma 90.00
_space_group_name_H-M_alt 'P 1'
_space_group_IT_number 1
loop_
_space_group_symop_operation_xyz
'x,y,z'
loop_
_atom_site_label
_atom_site_fract_x
_atom_site_fract_y
_atom_site_fract_z
Ba1 0.000 0.000 0.000
Nd1 0.000 0.000 0.500
Co1 0.500 0.500 0.253
Co2 0.500 0.500 0.747
O1 0.000 0.500 0.278
O2 0.000 0.500 0.722
O3 0.500 0.000 0.278
O4 0.500 0.000 0.722
O5 0.500 0.500 0.000
O6 0.500 0.500 0.500
```

## Properties
Calculated formation energy ... -212.19 kJ/mol of atoms
Crystal system ... tetragonal
Distance to the lowest polymorph of the same formula ... 0 kJ/mol of formula units


Entry 6:
Here is an optimized crystal structure of BaNdCo4O12 from the Materials Project database. Energies are from GGA+U.

Geometry as CIF:
```
data_BaNdCo4O12
_cell_length_a 5.403
_cell_length_b 5.403
_cell_length_c 7.598
_cell_angle_alpha 90.00
_cell_angle_beta 90.00
_cell_angle_gamma 90.00
_space_group_name_H-M_alt 'P 1'
_space_group_IT_number 1
loop_
_space_group_symop_operation_xyz
'x,y,z'
loop_
_atom_site_label
_atom_site_fract_x
_atom_site_fract_y
_atom_site_fract_z
Ba1 0.000 0.000 0.000
Nd1 0.500 0.500 0.500
Co1 0.000 0.500 0.248
Co2 0.000 0.500 0.752
Co3 0.500 0.000 0.248
Co4 0.500 0.000 0.752
O1 0.000 0.500 0.000
O2 0.000 0.500 0.500
O3 0.260 0.260 0.263
O4 0.260 0.260 0.737
O5 0.260 0.740 0.263
O6 0.260 0.740 0.737
O7 0.500 0.000 0.000
O8 0.500 0.000 0.500
O9 0.740 0.260 0.263
O10 0.740 0.260 0.737
O11 0.740 0.740 0.263
O12 0.740 0.740 0.737
```

## Properties
Calculated formation energy ... -132.89 kJ/mol of atoms
Crystal system ... tetragonal


Entry 7:
Here is an optimized crystal structure of Ba2Nd2Co4O11 from the Materials Project database. Energies are from GGA+U.

Geometry as CIF:
```
data_Ba2Nd2Co4O11
_cell_length_a 3.952
_cell_length_b 8.006
_cell_length_c 7.658
_cell_angle_alpha 90.00
_cell_angle_beta 90.00
_cell_angle_gamma 90.00
_space_group_name_H-M_alt 'P 1'
_space_group_IT_number 1
loop_
_space_group_symop_operation_xyz
'x,y,z'
loop_
_atom_site_label
_atom_site_fract_x
_atom_site_fract_y
_atom_site_fract_z
Ba1 0.000 0.245 0.000
Ba2 0.000 0.755 0.000
Nd1 0.000 0.267 0.496
Nd2 0.000 0.733 0.496
Co1 0.500 0.000 0.262
Co2 0.500 0.000 0.736
Co3 0.500 0.500 0.250
Co4 0.500 0.500 0.749
O1 0.000 0.000 0.311
O2 0.000 0.000 0.689
O3 0.000 0.500 0.271
O4 0.000 0.500 0.732
O5 0.500 0.000 0.996
O6 0.500 0.226 0.708
O7 0.500 0.236 0.292
O8 0.500 0.500 0.010
O9 0.500 0.500 0.498
O10 0.500 0.764 0.292
O11 0.500 0.774 0.708
```

## Properties
Calculated formation energy ... -220.61 kJ/mol of atoms
Crystal system ... orthorhombic
Distance to the lowest polymorph of the same formula ... 45 kJ/mol of formula units


Entry 8:
Here is an optimized crystal structure of Ba3Nd3Co6O17 from the Materials Project database. Energies are from GGA+U.

Geometry as CIF:
```
data_Ba3Nd3Co6O17
_cell_length_a 8.650
_cell_length_b 8.874
_cell_length_c 11.043
_cell_angle_alpha 108.67
_cell_angle_beta 107.15
_cell_angle_gamma 101.59
_space_group_name_H-M_alt 'P 1'
_space_group_IT_number 1
loop_
_space_group_symop_operation_xyz
'x,y,z'
loop_
_atom_site_label
_atom_site_fract_x
_atom_site_fract_y
_atom_site_fract_z
Ba1 0.081 0.251 0.083
Ba2 0.247 0.750 0.247
Ba3 0.415 0.247 0.414
Ba4 0.585 0.753 0.586
Ba5 0.753 0.250 0.753
Ba6 0.919 0.749 0.917
Nd1 0.090 0.272 0.589
Nd2 0.253 0.743 0.754
Nd3 0.425 0.258 0.928
Nd4 0.575 0.742 0.072
Nd5 0.747 0.257 0.246
Nd6 0.910 0.728 0.411
Co1 0.004 0.001 0.745
Co2 0.165 0.499 0.417
Co3 0.169 0.497 0.915
Co4 0.328 0.001 0.583
Co5 0.337 0.998 0.081
Co6 0.498 0.498 0.249
Co7 0.502 0.502 0.751
Co8 0.663 0.002 0.919
Co9 0.672 0.999 0.417
Co10 0.831 0.503 0.085
Co11 0.835 0.501 0.583
Co12 0.996 0.999 0.255
O1 0.000 0.500 0.000
O2 0.000 0.500 0.500
O3 0.013 0.497 0.742
O4 0.051 0.235 0.342
O5 0.108 0.240 0.816
O6 0.125 0.999 0.432
O7 0.182 0.999 0.160
O8 0.189 0.000 0.891
O9 0.227 0.774 0.522
O10 0.269 0.750 0.990
O11 0.320 0.500 0.588
O12 0.336 0.502 0.831
O13 0.340 0.507 0.333
O14 0.347 0.501 0.075
O15 0.379 0.229 0.672
O16 0.434 0.249 0.156
O17 0.460 0.001 0.761
O18 0.500 0.000 0.000
O19 0.500 0.000 0.500
O20 0.540 0.999 0.239
O21 0.566 0.751 0.844
O22 0.621 0.771 0.328
O23 0.653 0.499 0.925
O24 0.660 0.493 0.667
O25 0.664 0.498 0.169
O26 0.680 0.500 0.412
O27 0.731 0.250 0.010
O28 0.773 0.226 0.478
O29 0.811 0.000 0.109
O30 0.818 0.001 0.840
O31 0.875 0.001 0.568
O32 0.892 0.760 0.184
O33 0.949 0.765 0.658
O34 0.987 0.503 0.258
```

## Properties
Calculated formation energy ... -218.14 kJ/mol of atoms
Crystal system ... triclinic
Distance to the lowest polymorph of the same formula ... 18 kJ/mol of formula units


Number 1: total DFT energy (no corrections) -6.633 eV/atom. Number 2: total DFT energy (no corrections) -6.554 eV/atom. Number 3: total DFT energy (no corrections) -6.640 eV/atom. Number 4: total DFT energy (no corrections) -6.496 eV/atom. Number 5: total DFT energy (no corrections) -6.519 eV/atom. Number 6: total DFT energy (no corrections) -5.805 eV/atom. Number 7: total DFT energy (no corrections) -6.609 eV/atom. Number 8: total DFT energy (no corrections) -6.582 eV/atom.